{"formula": "K2Cd2Te3", "functional": "GGA-PBE", "state": "optimized geometry", "cell": [[-10.855, -4.745, 10.831], [9.870, -5.137, 7.641], [2.134, 12.291, 7.523]], "species": ["K", "K", "K", "K", "K", "K", "K", "K", "K", "K", "K", "K", "K", "K", "K", "K", "K", "K", "K", "K", "K", "K", "K", "K", "Cd", "Cd", "Cd", "Cd", "Cd", "Cd", "Cd", "Cd", "Cd", "Cd", "Cd", "Cd", "Cd", "Cd", "Cd", "Cd", "Cd", "Cd", "Cd", "Cd", "Cd", "Cd", "Cd", "Cd", "Te", "Te", "Te", "Te", "Te", "Te", "Te", "Te", "Te", "Te", "Te", "Te", "Te", "Te", "Te", "Te", "Te", "Te", "Te", "Te", "Te", "Te", "Te", "Te", "Te", "Te", "Te", "Te", "Te", "Te", "Te", "Te", "Te", "Te", "Te", "Te"], "fractional_positions": [[0.961, 0.143, 0.561], [0.770, 0.734, 0.268], [0.025, 0.643, 0.046], [0.055, 0.981, 0.123], [0.526, 0.475, 0.145], [0.555, 0.019, 0.377], [0.474, 0.525, 0.855], [0.026, 0.525, 0.355], [0.525, 0.357, 0.454], [0.530, 0.248, 0.767], [0.230, 0.266, 0.732], [0.539, 0.143, 0.061], [0.475, 0.643, 0.546], [0.030, 0.752, 0.733], [0.945, 0.019, 0.877], [0.270, 0.266, 0.232], [0.970, 0.248, 0.267], [0.975, 0.357, 0.954], [0.730, 0.734, 0.768], [0.470, 0.752, 0.233], [0.974, 0.475, 0.645], [0.461, 0.857, 0.939], [0.445, 0.981, 0.623], [0.039, 0.857, 0.439], [0.246, 0.681, 0.887], [0.791, 0.631, 0.019], [0.291, 0.369, 0.481], [0.254, 0.681, 0.387], [0.750, 0.178, 0.905], [0.730, 0.443, 0.319], [0.309, 0.138, 0.991], [0.270, 0.557, 0.681], [0.770, 0.443, 0.819], [0.291, 0.008, 0.323], [0.230, 0.557, 0.181], [0.209, 0.008, 0.823], [0.250, 0.822, 0.095], [0.750, 0.178, 0.405], [0.809, 0.862, 0.509], [0.191, 0.138, 0.491], [0.709, 0.992, 0.677], [0.791, 0.992, 0.177], [0.746, 0.319, 0.613], [0.250, 0.822, 0.595], [0.709, 0.631, 0.519], [0.209, 0.369, 0.981], [0.754, 0.319, 0.113], [0.691, 0.862, 0.009], [0.155, 0.510, 0.832], [0.123, 0.067, 0.325], [0.862, 0.262, 0.762], [0.889, 0.585, 0.862], [0.879, 0.670, 0.483], [0.140, 0.844, 0.933], [0.621, 0.670, 0.983], [0.111, 0.415, 0.138], [0.860, 0.156, 0.067], [0.634, 0.835, 0.560], [0.345, 0.510, 0.332], [0.638, 0.262, 0.262], [0.611, 0.585, 0.362], [0.348, 0.648, 0.050], [0.845, 0.490, 0.168], [0.366, 0.165, 0.440], [0.649, 0.014, 0.863], [0.655, 0.490, 0.668], [0.866, 0.835, 0.060], [0.362, 0.738, 0.738], [0.389, 0.415, 0.638], [0.152, 0.648, 0.550], [0.877, 0.933, 0.675], [0.623, 0.933, 0.175], [0.377, 0.067, 0.825], [0.360, 0.844, 0.433], [0.379, 0.330, 0.017], [0.121, 0.330, 0.517], [0.652, 0.352, 0.950], [0.351, 0.986, 0.137], [0.848, 0.352, 0.450], [0.640, 0.156, 0.567], [0.149, 0.986, 0.637], [0.134, 0.165, 0.940], [0.138, 0.738, 0.238], [0.851, 0.014, 0.363]], "e_form_ev_per_atom": -0.9211}

=====

{"formula": "LaCd", "functional": "GGA-PBE", "state": "optimized geometry", "cell": [[-1.067, 3.276, -1.908], [-3.529, -1.581, -0.742], [-1.383, 1.509, 3.364]], "species": ["La", "Cd"], "fractional_positions": [[0.500, 0.500, 0.500], [0.000, 0.000, 0.000]], "e_form_ev_per_atom": -0.3246}

=====

{"formula": "LaCd11", "functional": "GGA-PBE", "state": "optimized geometry", "cell": [[-9.337, 1.646, -0.341], [0.231, -0.646, -9.462], [-1.665, -9.321, 0.596]], "species": ["La", "La", "La", "Cd", "Cd", "Cd", "Cd", "Cd", "Cd", "Cd", "Cd", "Cd", "Cd", "Cd", "Cd", "Cd", "Cd", "Cd", "Cd", "Cd", "Cd", "Cd", "Cd", "Cd", "Cd", "Cd", "Cd", "Cd", "Cd", "Cd", "Cd", "Cd", "Cd", "Cd", "Cd", "Cd"], "fractional_positions": [[0.500, 0.000, 0.000], [0.000, 0.000, 0.500], [0.000, 0.500, 0.000], [0.500, 0.500, 0.500], [0.155, 0.155, 0.845], [0.155, 0.845, 0.155], [0.845, 0.155, 0.155], [0.845, 0.845, 0.845], [0.845, 0.845, 0.155], [0.845, 0.155, 0.845], [0.155, 0.845, 0.845], [0.155, 0.155, 0.155], [0.000, 0.346, 0.654], [0.346, 0.346, 0.000], [0.346, 0.000, 0.654], [0.000, 0.654, 0.346], [0.346, 0.654, 0.000], [0.346, 0.000, 0.346], [0.000, 0.346, 0.346], [0.654, 0.346, 0.000], [0.654, 0.000, 0.346], [0.000, 0.654, 0.654], [0.654, 0.654, 0.000], [0.654, 0.000, 0.654], [0.500, 0.267, 0.733], [0.267, 0.267, 0.500], [0.267, 0.500, 0.733], [0.500, 0.733, 0.267], [0.267, 0.733, 0.500], [0.267, 0.500, 0.267], [0.500, 0.267, 0.267], [0.733, 0.267, 0.500], [0.733, 0.500, 0.267], [0.500, 0.733, 0.733], [0.733, 0.733, 0.500], [0.733, 0.500, 0.733]], "e_form_ev_per_atom": -0.1654}

=====

{"formula": "La13Cd58", "functional": "GGA-PBE", "state": "optimized geometry", "cell": [[-2.778, 15.729, 2.347], [-10.141, -10.985, 6.093], [8.495, -0.480, 13.272]], "species": ["La", "La", "La", "La", "La", "La", "La", "La", "La", "La", "La", "La", "La", "La", "La", "La", "La", "La", "La", "La", "La", "La", "La", "La", "La", "La", "Cd", "Cd", "Cd", "Cd", "Cd", "Cd", "Cd", "Cd", "Cd", "Cd", "Cd", "Cd", "Cd", "Cd", "Cd", "Cd", "Cd", "Cd", "Cd", "Cd", "Cd", "Cd", "Cd", "Cd", "Cd", "Cd", "Cd", "Cd", "Cd", "Cd", "Cd", "Cd", "Cd", "Cd", "Cd", "Cd", "Cd", "Cd", "Cd", "Cd", "Cd", "Cd", "Cd", "Cd", "Cd", "Cd", "Cd", "Cd", "Cd", "Cd", "Cd", "Cd", "Cd", "Cd", "Cd", "Cd", "Cd", "Cd", "Cd", "Cd", "Cd", "Cd", "Cd", "Cd", "Cd", "Cd", "Cd", "Cd", "Cd", "Cd", "Cd", "Cd", "Cd", "Cd", "Cd", "Cd", "Cd", "Cd", "Cd", "Cd", "Cd", "Cd", "Cd", "Cd", "Cd", "Cd", "Cd", "Cd", "Cd", "Cd", "Cd", "Cd", "Cd", "Cd", "Cd", "Cd", "Cd", "Cd", "Cd", "Cd", "Cd", "Cd", "Cd", "Cd", "Cd", "Cd", "Cd", "Cd", "Cd", "Cd", "Cd", "Cd", "Cd", "Cd", "Cd", "Cd"], "fractional_positions": [[0.411, 0.206, 0.552], [0.872, 0.745, 0.250], [0.206, 0.411, 0.052], [0.085, 0.542, 0.750], [0.794, 0.589, 0.948], [0.794, 0.206, 0.552], [0.915, 0.458, 0.250], [0.794, 0.206, 0.948], [0.794, 0.589, 0.552], [0.458, 0.915, 0.750], [0.128, 0.872, 0.750], [0.872, 0.128, 0.250], [0.589, 0.794, 0.052], [0.589, 0.794, 0.448], [0.206, 0.794, 0.448], [0.000, 0.000, 0.000], [0.458, 0.542, 0.750], [0.542, 0.085, 0.250], [0.128, 0.255, 0.750], [0.745, 0.872, 0.750], [0.206, 0.411, 0.448], [0.411, 0.206, 0.948], [0.000, 0.000, 0.500], [0.255, 0.128, 0.250], [0.206, 0.794, 0.052], [0.542, 0.458, 0.250], [0.906, 0.094, 0.656], [0.000, 0.200, 0.000], [0.635, 0.964, 0.603], [0.365, 0.329, 0.397], [0.671, 0.635, 0.103], [0.601, 0.399, 0.053], [0.635, 0.671, 0.897], [0.964, 0.635, 0.103], [0.201, 0.601, 0.947], [0.094, 0.906, 0.344], [0.562, 0.125, 0.643], [0.812, 0.906, 0.344], [0.732, 0.268, 0.750], [0.438, 0.875, 0.357], [0.329, 0.365, 0.897], [0.036, 0.671, 0.897], [0.530, 0.765, 0.841], [0.800, 0.800, 0.000], [0.365, 0.036, 0.397], [0.000, 0.200, 0.500], [0.917, 0.638, 0.750], [0.200, 0.200, 0.500], [0.671, 0.036, 0.103], [0.601, 0.399, 0.447], [0.765, 0.530, 0.341], [0.765, 0.530, 0.159], [0.964, 0.329, 0.103], [0.667, 0.333, 0.594], [0.280, 0.917, 0.250], [0.470, 0.235, 0.341], [0.036, 0.365, 0.603], [0.333, 0.667, 0.750], [0.720, 0.083, 0.750], [0.036, 0.365, 0.897], [0.800, 0.000, 0.500], [0.601, 0.201, 0.447], [0.671, 0.036, 0.397], [0.362, 0.083, 0.750], [0.917, 0.280, 0.750], [0.000, 0.800, 0.000], [0.438, 0.562, 0.143], [0.125, 0.562, 0.357], [0.500, 0.000, 0.500], [0.906, 0.812, 0.844], [0.094, 0.188, 0.156], [0.036, 0.671, 0.603], [0.329, 0.365, 0.603], [0.562, 0.125, 0.857], [0.201, 0.601, 0.553], [0.635, 0.671, 0.603], [0.438, 0.562, 0.357], [0.000, 0.000, 0.250], [0.601, 0.201, 0.053], [0.799, 0.399, 0.447], [0.732, 0.463, 0.750], [0.399, 0.799, 0.947], [0.667, 0.333, 0.906], [0.235, 0.470, 0.841], [0.765, 0.235, 0.159], [0.280, 0.362, 0.250], [0.399, 0.601, 0.553], [0.365, 0.036, 0.103], [0.765, 0.235, 0.341], [0.812, 0.906, 0.156], [0.329, 0.964, 0.897], [0.875, 0.438, 0.857], [0.906, 0.812, 0.656], [0.125, 0.562, 0.143], [0.964, 0.329, 0.397], [0.638, 0.720, 0.250], [0.562, 0.438, 0.857], [0.470, 0.235, 0.159], [0.800, 0.800, 0.500], [0.000, 0.000, 0.750], [0.188, 0.094, 0.656], [0.200, 0.200, 0.000], [0.200, 0.000, 0.500], [0.083, 0.362, 0.250], [0.671, 0.635, 0.397], [0.530, 0.765, 0.659], [0.799, 0.399, 0.053], [0.365, 0.329, 0.103], [0.235, 0.765, 0.841], [0.667, 0.333, 0.250], [0.438, 0.875, 0.143], [0.500, 0.500, 0.000], [0.000, 0.500, 0.500], [0.235, 0.765, 0.659], [0.333, 0.667, 0.406], [0.200, 0.000, 0.000], [0.083, 0.720, 0.250], [0.000, 0.800, 0.500], [0.635, 0.964, 0.897], [0.500, 0.500, 0.500], [0.188, 0.094, 0.844], [0.537, 0.268, 0.750], [0.094, 0.906, 0.156], [0.906, 0.094, 0.844], [0.562, 0.438, 0.643], [0.362, 0.280, 0.750], [0.268, 0.732, 0.250], [0.964, 0.635, 0.397], [0.333, 0.667, 0.094], [0.268, 0.537, 0.250], [0.800, 0.000, 0.000], [0.638, 0.917, 0.250], [0.500, 0.000, 0.000], [0.875, 0.438, 0.643], [0.329, 0.964, 0.603], [0.000, 0.500, 0.000], [0.094, 0.188, 0.344], [0.399, 0.601, 0.947], [0.235, 0.470, 0.659], [0.720, 0.638, 0.750], [0.399, 0.799, 0.553], [0.463, 0.732, 0.250]], "e_form_ev_per_atom": -0.2843}

=====

Please write out number 2 again, unchanged.
{"formula": "LaCd", "functional": "GGA-PBE", "state": "optimized geometry", "cell": [[-1.067, 3.276, -1.908], [-3.529, -1.581, -0.742], [-1.383, 1.509, 3.364]], "species": ["La", "Cd"], "fractional_positions": [[0.500, 0.500, 0.500], [0.000, 0.000, 0.000]], "e_form_ev_per_atom": -0.3246}